A plane-wave DFT calculation with GGA-PBE was carried out for a geometry-optimized RbAlH4 structure.

Lattice parameters (Å, degrees): 5.9274 7.6985 9.4864 90.00 90.00 90.00
Fractional positions:
H 0.5268 0.8104 0.4200
H 0.0268 0.3104 0.0799
H 0.4732 0.1896 0.5800
H 0.7500 0.6022 0.5960
H 0.7500 0.9590 0.8136
H 0.5268 0.6896 0.9200
H 0.2500 0.3978 0.4040
H 0.7500 0.8978 0.0960
Rb 0.2500 0.8403 0.6817
H 0.2500 0.1022 0.9040
Al 0.7500 0.8136 0.9384
H 0.7500 0.5410 0.3136
Al 0.2500 0.1864 0.0616
Rb 0.7500 0.3403 0.8183
H 0.9732 0.6896 0.9200
Rb 0.2500 0.6597 0.1817
H 0.9732 0.8104 0.4200
Rb 0.7500 0.1597 0.3183
H 0.4732 0.3104 0.0799
Al 0.7500 0.6864 0.4384
H 0.0268 0.1896 0.5800
H 0.2500 0.0410 0.1864
H 0.2500 0.4590 0.6864
Al 0.2500 0.3136 0.5616

Results
Calculated total energy ... -3.250 eV per atom
Corrected total energy (MP2020 scheme) ... -3.369 eV/atom

***

A plane-wave DFT calculation with GGA-PBE was carried out for a geometry-optimized Sr3VN3 structure.

Lattice parameters (Å, degrees): 7.7622 7.7620 5.3950 90.00 90.00 120.00
Fractional positions:
N 0.4136 0.2894 0.7500
Sr 0.6305 0.7258 0.7500
N 0.1243 0.4136 0.2500
N 0.5864 0.7106 0.2500
N 0.7107 0.1243 0.7500
V 0.6667 0.3333 0.7500
Sr 0.7258 0.0953 0.2500
V 0.3333 0.6667 0.2500
N 0.2893 0.8757 0.2500
Sr 0.2742 0.9047 0.7500
Sr 0.0953 0.3695 0.7500
Sr 0.9047 0.6305 0.2500
Sr 0.3695 0.2742 0.2500
N 0.8757 0.5864 0.7500

Results
Calculated total energy ... -6.491 eV per atom
Corrected total energy (MP2020 scheme) ... -6.646 eV/atom

***

A plane-wave DFT calculation with GGA-PBE was carried out for a geometry-optimized RbSr2I5 structure.

Lattice parameters (Å, degrees): 9.1935 10.1705 14.7156 89.75 90.00 90.00
Fractional positions:
I 0.9538 0.2123 0.4954
I 0.4538 0.7877 0.0046
Sr 0.0703 0.7540 0.0054
I 0.8066 0.2255 0.2126
Sr 0.5220 0.0027 0.1789
I 0.6934 0.2255 0.7126
I 0.5462 0.2123 0.9954
I 0.3333 0.4659 0.5870
I 0.8400 0.9585 0.8974
I 0.8333 0.5341 0.9130
Sr 0.4780 0.9973 0.8211
I 0.3400 0.0415 0.6026
Sr 0.5703 0.2460 0.4946
I 0.8334 0.7847 0.1805
Sr 0.9780 0.0027 0.6789
Rb 0.0372 0.4970 0.3271
I 0.3066 0.7745 0.2874
I 0.6600 0.9585 0.3974
Sr 0.0220 0.9973 0.3211
Sr 0.4297 0.7540 0.5054
I 0.0462 0.7877 0.5046
I 0.1600 0.0415 0.1026
I 0.1934 0.7745 0.7874
Sr 0.9297 0.2460 0.9946
Rb 0.4628 0.4970 0.8271
Rb 0.5372 0.5030 0.1729
I 0.1667 0.4659 0.0870
I 0.6667 0.5341 0.4130
I 0.1666 0.2152 0.8195
I 0.6666 0.7847 0.6805
Rb 0.9628 0.5030 0.6729
I 0.3334 0.2152 0.3195

Results
Calculated total energy ... -3.154 eV per atom
Corrected total energy (MP2020 scheme) ... -3.391 eV/atom

***

A plane-wave DFT calculation with GGA-PBE was carried out for a geometry-optimized Li3CaMnN3 structure.

Lattice parameters (Å, degrees): 7.0407 7.0407 7.0407 48.23 48.23 48.23
Fractional positions:
Mn 0.0650 0.0650 0.0650
Li 0.1053 0.7600 0.5213
Li 0.8947 0.2400 0.4787
Ca 0.6626 0.6626 0.6626
Ca 0.3374 0.3374 0.3374
Li 0.4787 0.8947 0.2400
N 0.0918 0.3832 0.7840
N 0.6168 0.2160 0.9082
N 0.2160 0.9082 0.6168
N 0.7840 0.0918 0.3832
N 0.3832 0.7840 0.0918
Li 0.7600 0.5213 0.1053
Mn 0.9350 0.9350 0.9350
Li 0.5213 0.1053 0.7600
N 0.9082 0.6168 0.2160
Li 0.2400 0.4787 0.8947

Results
Calculated total energy ... -5.901 eV per atom
Total magnetic moment ... 0.250 μB per atom
Corrected total energy (MP2020 scheme) ... -6.037 eV/atom

***

A plane-wave DFT calculation with GGA-PBE was carried out for a geometry-optimized Ba3SrNd2Cu6O14 structure.

Lattice parameters (Å, degrees): 3.9022 3.9191 23.5930 90.00 90.00 90.00
Fractional positions:
O 0.0000 0.5000 0.1853
O 0.0000 0.0000 0.0797
O 0.5000 0.0000 0.6836
Cu 0.0000 0.0000 0.5011
O 0.5000 0.0000 0.8129
Ba 0.5000 0.5000 0.9102
O 0.0000 0.0000 0.5810
Cu 0.0000 0.0000 0.1736
O 0.0000 0.0000 0.4210
O 0.5000 0.0000 0.3145
O 0.0000 0.5000 0.6842
O 0.0000 0.5000 0.3136
O 0.0000 0.5000 0.8141
O 0.0000 0.5000 0.5032
Ba 0.5000 0.5000 0.0896
Cu 0.0000 0.0000 0.3265
Nd 0.5000 0.5000 0.7491
Cu 0.0000 0.0000 0.6721
Cu 0.0000 0.0000 0.8262
Nd 0.5000 0.5000 0.2501
Cu 0.0000 0.0000 0.0000
O 0.5000 0.0000 0.9999
O 0.5000 0.0000 0.1866
O 0.0000 0.0000 0.9203
Sr 0.5000 0.5000 0.5904
Ba 0.5000 0.5000 0.4110

Results
Calculated total energy ... -6.052 eV per atom
Total magnetic moment ... 0.002 μB per atom
Corrected total energy (MP2020 scheme) ... -6.422 eV/atom

***

A plane-wave DFT calculation with GGA-PBE was carried out for a geometry-optimized Ge7HN3O20 structure.

Lattice parameters (Å, degrees): 7.7820 7.7820 7.7820 90.00 90.00 90.00
Fractional positions:
O 0.6133 0.6133 0.6133
N 0.0000 0.0000 0.5000
N 0.5000 0.0000 0.0000
H 0.5000 0.5000 0.5000
O 0.1933 0.8067 0.1933
O 0.3637 0.8809 0.6363
O 0.1191 0.6363 0.6363
O 0.6363 0.1191 0.6363
Ge 0.5000 0.5000 0.0000
N 0.0000 0.5000 0.0000
O 0.8809 0.6363 0.3637
O 0.3637 0.3637 0.1191
Ge 0.6490 0.6490 0.3510
O 0.3637 0.1191 0.3637
O 0.6363 0.6363 0.1191
Ge 0.6490 0.3510 0.6490
Ge 0.5000 0.0000 0.5000
O 0.8067 0.8067 0.8067
Ge 0.0000 0.5000 0.5000
O 0.8809 0.3637 0.6363
Ge 0.3510 0.6490 0.6490
Ge 0.3510 0.3510 0.3510
O 0.8067 0.1933 0.1933
O 0.3637 0.6363 0.8809
O 0.6363 0.8809 0.3637
O 0.1191 0.3637 0.3637
O 0.3867 0.3867 0.6133
O 0.1933 0.1933 0.8067
O 0.3867 0.6133 0.3867
O 0.6363 0.3637 0.8809
O 0.6133 0.3867 0.3867

Results
Calculated total energy ... -5.130 eV per atom
Total magnetic moment ... 0.628 μB per atom
Corrected total energy (MP2020 scheme) ... -5.573 eV/atom

***

A plane-wave DFT calculation with GGA-PBE was carried out for a geometry-optimized TbZr3 structure.

Lattice parameters (Å, degrees): 3.3109 3.3109 10.5787 90.00 90.00 120.00
Fractional positions:
Zr 0.0000 0.0000 0.7385
Zr 0.3333 0.6667 0.5000
Zr 0.0000 0.0000 0.2615
Tb 0.3333 0.6667 0.0000

Results
Calculated total energy ... -7.515 eV per atom

***

A plane-wave DFT calculation with GGA-PBE was carried out for a geometry-optimized RbMgPO4 structure.

Lattice parameters (Å, degrees): 5.4008 9.4538 26.9660 90.00 90.00 90.00
Fractional positions:
O 0.1940 0.7613 0.9379
O 0.5249 0.9427 0.9182
O 0.1639 0.7803 0.2562
O 0.0263 0.4487 0.2561
Rb 0.2861 0.1898 0.3259
O 0.0880 0.0398 0.2375
O 0.6940 0.2387 0.0621
O 0.7560 0.3727 0.3289
Mg 0.2528 0.9059 0.7819
O 0.2560 0.8727 0.1711
O 0.5054 0.5419 0.1038
O 0.0774 0.4829 0.4257
O 0.2147 0.8693 0.8521
P 0.2799 0.5739 0.0696
O 0.5774 0.9829 0.0743
O 0.1940 0.7387 0.4379
O 0.2560 0.6273 0.6711
O 0.0249 0.4427 0.5818
O 0.5263 0.9487 0.2439
O 0.0054 0.4581 0.8962
O 0.5263 0.5513 0.7439
Mg 0.7343 0.4423 0.0520
Rb 0.2523 0.2017 0.0010
O 0.8777 0.4763 0.9827
O 0.0880 0.4602 0.7375
O 0.7108 0.2677 0.9323
Rb 0.7604 0.8096 0.3350
P 0.7799 0.4261 0.9304
O 0.7108 0.2323 0.4323
Mg 0.2656 0.5867 0.6007
Mg 0.2528 0.5941 0.2819
Mg 0.2343 0.9423 0.4480
O 0.5249 0.5573 0.4182
P 0.2799 0.9261 0.5696
O 0.5880 0.9602 0.7625
Rb 0.7861 0.8102 0.6741
O 0.2108 0.7323 0.0677
O 0.1639 0.7197 0.7562
O 0.6639 0.2197 0.7438
P 0.2586 0.5895 0.7269
Mg 0.2343 0.5577 0.9480
O 0.3777 0.9763 0.5173
O 0.8777 0.0237 0.4827
P 0.7799 0.0739 0.4304
O 0.0054 0.0419 0.3962
Rb 0.2861 0.3102 0.8259
Rb 0.7861 0.6898 0.1741
O 0.2108 0.7677 0.5677
O 0.2147 0.6307 0.3521
Rb 0.2604 0.3096 0.1650
P 0.2532 0.6031 0.4082
O 0.7147 0.1307 0.1479
P 0.2586 0.9105 0.2269
O 0.6639 0.2803 0.2438
O 0.5519 0.9873 0.4135
O 0.0519 0.4873 0.0865
Mg 0.2656 0.9133 0.1007
P 0.2532 0.8969 0.9082
Mg 0.7528 0.4059 0.7181
Mg 0.7528 0.0941 0.2181
Mg 0.7656 0.0867 0.8993
O 0.5054 0.9581 0.6038
P 0.7532 0.3969 0.5918
Rb 0.7523 0.7017 0.4990
Rb 0.2604 0.1904 0.6650
Mg 0.7656 0.4133 0.3993
Rb 0.2523 0.2983 0.5010
O 0.3777 0.5237 0.0173
Rb 0.7523 0.7983 0.9990
O 0.0249 0.0573 0.0819
O 0.5774 0.5171 0.5743
O 0.0263 0.0513 0.7561
P 0.7586 0.0895 0.7731
O 0.7147 0.3693 0.6479
Rb 0.7604 0.6904 0.8350
O 0.7560 0.1273 0.8289
O 0.5519 0.5127 0.9135
Mg 0.7343 0.0577 0.5520
P 0.7532 0.1031 0.0918
O 0.5880 0.5398 0.2625
P 0.7586 0.4105 0.2731
O 0.6940 0.2613 0.5621
O 0.0774 0.0171 0.9257
O 0.0519 0.0127 0.5865

Results
Calculated total energy ... -6.486 eV per atom
Total magnetic moment ... 0.000 μB per atom
Corrected total energy (MP2020 scheme) ... -6.879 eV/atom
Energy above the lowest structure with this stoichiometry ... 0.0 meV per atom